Run one
{"formula": "MgTi4O8", "functional": "PBE", "state": "optimized geometry", "crystal_system": "orthorhombic", "vol_a3_per_atom": 12.11, "lattice": [[-2.920, 3.231, 4.172], [2.920, -3.231, 4.172], [2.920, 3.231, -4.172]], "species": ["Mg", "Ti", "Ti", "Ti", "Ti", "O", "O", "O", "O", "O", "O", "O", "O"], "frac_coords": [[0.000, 0.000, 0.000], [0.284, 0.784, 0.500], [0.329, 0.329, 0.000], [0.708, 0.447, 0.739], [0.708, 0.968, 0.261], [0.149, 0.403, 0.253], [0.149, 0.896, 0.747], [0.486, 0.235, 0.748], [0.486, 0.738, 0.252], [0.573, 0.270, 0.303], [0.619, 0.804, 0.815], [0.967, 0.270, 0.697], [0.988, 0.804, 0.185]]}

---

Run two
{"formula": "MgTi4O8", "functional": "PBE", "state": "optimized geometry", "crystal_system": "trigonal", "vol_a3_per_atom": 11.83, "lattice": [[2.965, 1.712, 5.047], [-2.965, 1.712, 5.047], [0.000, -3.424, 5.047]], "species": ["Mg", "Ti", "Ti", "Ti", "Ti", "O", "O", "O", "O", "O", "O", "O", "O"], "frac_coords": [[0.000, 0.000, 0.000], [0.000, 0.000, 0.500], [0.000, 0.500, 0.000], [0.500, 0.000, 0.000], [0.500, 0.500, 0.500], [0.226, 0.747, 0.747], [0.232, 0.232, 0.232], [0.253, 0.253, 0.774], [0.253, 0.774, 0.253], [0.747, 0.226, 0.747], [0.747, 0.747, 0.226], [0.768, 0.768, 0.768], [0.774, 0.253, 0.253]]}

---

Run three
{"formula": "MgTi4O8", "functional": "PBE", "state": "optimized geometry", "crystal_system": "trigonal", "vol_a3_per_atom": 11.56, "lattice": [[3.011, 1.738, 4.785], [-3.011, 1.738, 4.785], [0.000, -3.477, 4.785]], "species": ["Mg", "Ti", "Ti", "Ti", "Ti", "O", "O", "O", "O", "O", "O", "O", "O"], "frac_coords": [[0.000, 0.000, 0.000], [0.000, 0.500, 0.500], [0.500, 0.000, 0.500], [0.500, 0.500, 0.000], [0.500, 0.500, 0.500], [0.255, 0.255, 0.719], [0.255, 0.719, 0.255], [0.266, 0.266, 0.266], [0.281, 0.745, 0.745], [0.719, 0.255, 0.255], [0.734, 0.734, 0.734], [0.745, 0.281, 0.745], [0.745, 0.745, 0.281]]}

---

The structure with the most favorable energy is run three; the runner-up is 0.017 eV/atom above it.